Version i
# Mn2PO5

An optimized crystal structure of Mn2PO5 (PBE+U, the Materials Project).

Unit cell a=13.2855 b=9.6537 c=12.3358 alpha=72.60 beta=90.00 gamma=90.00
Element x y z (fractional)
O (0.6591, 0.9871, 0.9290)
O (0.3336, 0.9698, 0.4678)
O (0.2408, 0.5055, 0.1205)
O (0.1495, 0.8329, 0.2142)
O (0.8409, 0.9871, 0.4290)
O (0.0220, 0.9703, 0.3811)
O (0.7952, 0.2690, 0.5330)
O (0.9544, 0.2464, 0.9739)
O (0.9056, 0.6668, 0.7944)
O (0.0474, 0.5841, 0.2415)
O (0.2685, 0.4695, 0.8819)
O (0.3819, 0.8313, 0.3272)
O (0.7974, 0.7532, 0.9664)
O (0.8819, 0.1687, 0.1728)
O (0.7951, 0.9134, 0.7485)
O (0.5474, 0.4159, 0.2585)
O (0.0917, 0.4727, 0.9511)
O (0.6432, 0.6972, 0.6690)
O (0.4000, 0.2082, 0.1613)
O (0.1664, 0.9698, 0.9678)
O (0.5068, 0.9926, 0.3822)
O (0.9780, 0.0297, 0.6189)
O (0.1181, 0.8313, 0.8272)
O (0.7408, 0.4945, 0.3795)
O (0.8568, 0.6972, 0.1690)
O (0.9932, 0.9926, 0.8822)
O (0.2952, 0.7310, 0.9670)
O (0.3409, 0.0129, 0.0710)
O (0.2951, 0.0866, 0.7515)
O (0.4780, 0.9703, 0.8811)
O (0.6414, 0.3182, 0.8290)
O (0.4932, 0.0074, 0.6178)
O (0.2315, 0.4695, 0.3819)
O (0.1414, 0.6818, 0.6710)
O (0.2026, 0.2468, 0.0336)
O (0.7592, 0.4945, 0.8795)
O (0.8505, 0.1671, 0.7858)
O (0.0809, 0.5293, 0.5481)
O (0.5562, 0.7728, 0.0440)
O (0.2048, 0.7310, 0.4670)
O (0.4438, 0.2272, 0.9560)
O (0.5456, 0.2464, 0.4739)
O (0.7026, 0.7532, 0.4664)
O (0.0562, 0.2272, 0.4560)
O (0.1591, 0.0129, 0.5710)
O (0.9083, 0.5273, 0.0489)
O (0.2592, 0.5055, 0.6205)
O (0.7049, 0.9134, 0.2485)
O (0.4526, 0.5841, 0.7415)
O (0.4191, 0.5293, 0.0481)
O (0.5917, 0.5273, 0.5489)
O (0.7048, 0.2690, 0.0330)
O (0.1000, 0.2082, 0.6613)
O (0.9526, 0.4159, 0.7585)
O (0.9438, 0.7728, 0.5440)
O (0.3568, 0.3028, 0.3310)
O (0.0068, 0.0074, 0.1178)
O (0.4056, 0.3332, 0.7056)
O (0.0456, 0.7536, 0.0261)
O (0.9000, 0.7918, 0.3387)
O (0.6664, 0.0302, 0.5322)
O (0.5944, 0.6668, 0.2944)
O (0.3586, 0.6818, 0.1710)
O (0.7315, 0.5305, 0.1181)
O (0.3505, 0.8329, 0.7142)
O (0.4083, 0.4727, 0.4511)
O (0.1432, 0.3028, 0.8310)
O (0.2974, 0.2468, 0.5336)
O (0.6181, 0.1687, 0.6728)
O (0.5220, 0.0297, 0.1189)
O (0.6495, 0.1671, 0.2858)
O (0.0944, 0.3332, 0.2056)
O (0.2049, 0.0866, 0.2515)
O (0.8586, 0.3182, 0.3290)
O (0.5809, 0.4707, 0.9519)
O (0.8336, 0.0302, 0.0322)
O (0.6000, 0.7918, 0.8387)
O (0.9191, 0.4707, 0.4519)
O (0.4544, 0.7536, 0.5261)
O (0.7685, 0.5305, 0.6181)
P (0.4255, 0.1222, 0.0772)
P (0.6707, 0.3866, 0.9231)
P (0.5812, 0.1152, 0.5731)
P (0.1707, 0.6134, 0.5769)
P (0.4188, 0.8848, 0.4269)
P (0.0745, 0.1222, 0.5772)
P (0.9188, 0.1152, 0.0731)
P (0.6749, 0.6292, 0.5750)
P (0.0812, 0.8848, 0.9269)
P (0.1749, 0.3708, 0.9250)
P (0.8293, 0.3866, 0.4231)
P (0.3293, 0.6134, 0.0769)
P (0.8251, 0.6292, 0.0750)
P (0.5745, 0.8778, 0.9228)
P (0.9255, 0.8778, 0.4228)
P (0.3251, 0.3708, 0.4250)
Mn (0.6776, 0.9737, 0.3831)
Mn (0.6795, 0.0408, 0.0865)
Mn (0.9944, 0.2165, 0.8040)
Mn (0.8205, 0.0408, 0.5865)
Mn (0.1776, 0.0263, 0.1169)
Mn (0.5119, 0.1957, 0.8010)
Mn (0.7418, 0.3010, 0.6948)
Mn (0.9282, 0.4719, 0.8953)
Mn (0.7580, 0.7135, 0.8033)
Mn (0.4944, 0.7835, 0.6960)
Mn (0.2418, 0.6990, 0.8052)
Mn (0.5718, 0.4719, 0.3953)
Mn (0.9288, 0.5454, 0.5989)
Mn (0.2420, 0.2865, 0.1967)
Mn (0.5712, 0.5454, 0.0989)
Mn (0.4288, 0.4546, 0.9011)
Mn (0.0718, 0.5281, 0.1047)
Mn (0.7582, 0.3010, 0.1948)
Mn (0.0119, 0.8043, 0.6990)
Mn (0.4881, 0.8043, 0.1990)
Mn (0.0056, 0.7835, 0.1960)
Mn (0.3224, 0.0263, 0.6169)
Mn (0.4282, 0.5281, 0.6047)
Mn (0.7420, 0.7135, 0.3033)
Mn (0.8224, 0.9737, 0.8831)
Mn (0.5056, 0.2165, 0.3040)
Mn (0.0712, 0.4546, 0.4011)
Mn (0.2580, 0.2865, 0.6967)
Mn (0.2582, 0.6990, 0.3052)
Mn (0.9881, 0.1957, 0.3010)
Mn (0.3205, 0.9592, 0.9135)
Mn (0.1795, 0.9592, 0.4135)

Output
Symmetry: P2_1/c, No. 14
Total magnetization, Bohr magnetons per cell: 53.5

Version ii
# Mn2PO5

An optimized crystal structure of Mn2PO5 (PBE+U, the Materials Project).

Unit cell a=6.1639 b=7.4650 c=8.5589 alpha=106.16 beta=88.88 gamma=99.80
Element x y z (fractional)
O (0.2416, 0.9884, 0.7068)
O (0.9121, 0.7792, 0.9264)
O (0.5892, 0.2114, 0.5434)
O (0.0879, 0.2208, 0.0736)
O (0.4998, 0.2142, 0.0566)
O (0.9967, 0.2080, 0.5386)
O (0.7584, 0.0116, 0.2932)
O (0.5002, 0.7858, 0.9434)
O (0.4108, 0.7886, 0.4566)
O (0.2766, 0.3715, 0.8041)
O (0.2510, 0.0226, 0.2180)
O (0.3495, 0.3811, 0.3225)
O (0.1484, 0.6408, 0.1116)
O (0.8516, 0.3592, 0.8884)
O (0.6505, 0.6189, 0.6775)
O (0.7234, 0.6285, 0.1959)
O (0.7490, 0.9774, 0.7820)
O (0.8245, 0.3689, 0.3554)
O (0.0033, 0.7920, 0.4614)
O (0.1755, 0.6311, 0.6446)
P (0.6991, 0.7863, 0.8322)
P (0.3009, 0.2137, 0.1678)
P (0.7930, 0.2016, 0.4357)
P (0.2070, 0.7984, 0.5643)
Mn (0.8622, 0.3934, 0.1245)
Mn (0.4636, 0.7990, 0.1976)
Mn (0.5364, 0.2010, 0.8024)
Mn (0.6779, 0.6322, 0.4418)
Mn (0.0279, 0.1665, 0.7936)
Mn (0.3221, 0.3678, 0.5582)
Mn (0.1378, 0.6066, 0.8755)
Mn (0.9721, 0.8335, 0.2064)

Output
Symmetry: P-1, No. 2

version ii takes first place; second place is 42.6 kJ/mol of atoms up.